No. 1
# Ba2TmMgCu3O7

Crystalline Ba2TmMgCu3O7 at its relaxed geometry (GGA-PBE, the Materials Project database).

Unit cell a=3.7179 b=3.9292 c=14.6249 alpha=90.00 beta=90.00 gamma=90.00
Space group Pmm2 (No. 25)
Inequivalent atoms, fractional coordinates:
1 Ba 0.0000 0.0000 0.0000 [1 per cell]
2 Ba 0.0000 0.0000 0.3097 [1 per cell]
3 Tm 0.0000 0.0000 0.7442 [1 per cell]
4 Mg 0.0000 0.5000 0.4999 [1 per cell]
5 Cu 0.5000 0.5000 0.1580 [1 per cell]
6 Cu 0.5000 0.5000 0.6438 [1 per cell]
7 Cu 0.5000 0.5000 0.8565 [1 per cell]
8 O 0.0000 0.5000 0.6325 [1 per cell]
9 O 0.0000 0.5000 0.8244 [1 per cell]
10 O 0.5000 0.0000 0.1962 [1 per cell]
11 O 0.5000 0.0000 0.6555 [1 per cell]
12 O 0.5000 0.0000 0.8485 [1 per cell]
13 O 0.5000 0.5000 0.0248 [1 per cell]
14 O 0.5000 0.5000 0.4337 [1 per cell]



No. 2
# Al11Co6Si6

Crystalline Al11Co6Si6 at its relaxed geometry (GGA-PBE, the Materials Project database).

Unit cell a=8.0456 b=21.2722 c=8.2958 alpha=90.00 beta=118.90 gamma=90.00
Space group P2_1/c (No. 14)
Inequivalent atoms, fractional coordinates:
1 Al 0.0268 0.2030 0.3152 [4 per cell]
2 Al 0.0861 0.6663 0.8953 [4 per cell]
3 Al 0.0985 0.5326 0.9424 [4 per cell]
4 Al 0.1555 0.7194 0.5693 [4 per cell]
5 Al 0.2161 0.5656 0.6931 [4 per cell]
6 Al 0.2411 0.6157 0.2361 [4 per cell]
7 Al 0.2653 0.1192 0.2847 [4 per cell]
8 Al 0.2728 0.0623 0.8052 [4 per cell]
9 Al 0.3435 0.2291 0.9419 [4 per cell]
10 Al 0.4101 0.0366 0.5658 [4 per cell]
11 Al 0.4620 0.7022 0.1885 [4 per cell]
12 Co 0.1026 0.0880 0.4648 [4 per cell]
13 Co 0.1259 0.0417 0.0001 [4 per cell]
14 Co 0.1883 0.2263 0.1296 [4 per cell]
15 Co 0.3112 0.7290 0.3805 [4 per cell]
16 Co 0.3808 0.5431 0.5107 [4 per cell]
17 Co 0.3893 0.5888 0.0364 [4 per cell]
18 Si 0.0360 0.5460 0.3248 [4 per cell]
19 Si 0.0980 0.1438 0.9359 [4 per cell]
20 Si 0.2779 0.1704 0.6433 [4 per cell]
21 Si 0.4085 0.6701 0.8666 [4 per cell]
22 Si 0.4187 0.6454 0.5770 [4 per cell]
23 Si 0.4613 0.0466 0.1756 [4 per cell]



No. 3
# Np2Se5

Crystalline Np2Se5 at its relaxed geometry (GGA-PBE, the Materials Project database).

Unit cell a=7.7254 b=10.7290 c=7.7417 alpha=90.00 beta=90.00 gamma=90.00
Space group Pbcn (No. 60)
Inequivalent atoms, fractional coordinates:
1 Np 0.2464 0.1515 0.0005 [8 per cell]
2 Se 0.0000 0.2518 0.7500 [4 per cell]
3 Se 0.1202 0.3985 0.1298 [8 per cell]
4 Se 0.1234 0.1036 0.3734 [8 per cell]



No. 4
# K5As2Au

Crystalline K5As2Au at its relaxed geometry (GGA-PBE, the Materials Project database).

Unit cell a=5.8035 b=5.8035 c=19.5175 alpha=90.00 beta=90.00 gamma=120.00
Space group P6_3/mmc (No. 194)
Inequivalent atoms, fractional coordinates:
1 K 0.0000 0.0000 0.1453 [4 per cell]
2 K 0.3333 0.6667 0.0492 [4 per cell]
3 K 0.3333 0.6667 0.2500 [2 per cell]
4 As 0.3333 0.6667 0.6210 [4 per cell]
5 Au 0.3333 0.6667 0.7500 [2 per cell]



No. 5
# La9Sb5CO4

Crystalline La9Sb5CO4 at its relaxed geometry (GGA-PBE, the Materials Project database).

Unit cell a=10.5849 b=10.5849 c=9.4448 alpha=90.00 beta=90.00 gamma=90.00
Space group P4/n (No. 85, origin choice 2)
Inequivalent atoms, fractional coordinates:
1 La 0.0238 0.1706 0.0016 [8 per cell]
2 La 0.0466 0.6462 0.6591 [8 per cell]
3 La 0.2500 0.2500 0.6774 [2 per cell]
4 Sb 0.0545 0.6521 0.3018 [8 per cell]
5 Sb 0.2500 0.2500 0.3078 [2 per cell]
6 C 0.2500 0.2500 0.9267 [2 per cell]
7 O 0.0259 0.6291 0.9032 [8 per cell]



No. 6
# LaPdPb

Crystalline LaPdPb at its relaxed geometry (GGA-PBE, the Materials Project database).

Unit cell a=7.9099 b=7.9099 c=4.2282 alpha=90.00 beta=90.00 gamma=120.00
Space group P-62m (No. 189)
Inequivalent atoms, fractional coordinates:
1 La 0.0000 0.5893 0.0000 [3 per cell]
2 Pd 0.0000 0.0000 0.0000 [1 per cell]
3 Pd 0.3333 0.6667 0.5000 [2 per cell]
4 Pb 0.0000 0.2524 0.5000 [3 per cell]



No. 7
# CsHgBr2Cl

Crystalline CsHgBr2Cl at its relaxed geometry (GGA-PBE, the Materials Project database).

Unit cell a=5.6555 b=5.6555 c=5.4902 alpha=90.00 beta=90.00 gamma=90.00
Space group P4/mmm (No. 123)
Inequivalent atoms, fractional coordinates:
1 Cs 0.0000 0.0000 0.0000 [1 per cell]
2 Hg 0.5000 0.5000 0.5000 [1 per cell]
3 Br 0.0000 0.5000 0.5000 [2 per cell]
4 Cl 0.5000 0.5000 0.0000 [1 per cell]



No. 8
# Ba4NaGe3S10Cl

Crystalline Ba4NaGe3S10Cl at its relaxed geometry (GGA-PBE, the Materials Project database).

Unit cell a=9.9726 b=9.9726 c=12.3271 alpha=90.00 beta=90.00 gamma=120.00
Space group P6_3 (No. 173)
Inequivalent atoms, fractional coordinates:
1 Ba 0.0898 0.3523 0.0000 [6 per cell]
2 Ba 0.3333 0.6667 0.3098 [2 per cell]
3 Na 0.0000 0.0000 0.2529 [2 per cell]
4 Ge 0.1182 0.4475 0.6621 [6 per cell]
5 S 0.0607 0.7501 0.2546 [6 per cell]
6 S 0.0894 0.4223 0.4869 [6 per cell]
7 S 0.1155 0.6620 0.7264 [6 per cell]
8 S 0.3333 0.6667 0.0636 [2 per cell]
9 Cl 0.0000 0.0000 0.0057 [2 per cell]



No. 9
# AlSn3F15

Crystalline AlSn3F15 at its relaxed geometry (GGA-PBE, the Materials Project database).

Unit cell a=5.8487 b=10.1301 c=10.0713 alpha=90.00 beta=105.88 gamma=90.00
Space group P2_1/m (No. 11)
Inequivalent atoms, fractional coordinates:
1 Al 0.0421 0.2500 0.2646 [2 per cell]
2 Sn 0.4791 0.5512 0.3323 [4 per cell]
3 Sn 0.5000 0.0000 0.0000 [2 per cell]
4 F 0.0825 0.7500 0.6070 [2 per cell]
5 F 0.1146 0.7500 0.9008 [2 per cell]
6 F 0.2025 0.1169 0.6294 [4 per cell]
7 F 0.2148 0.1005 0.2888 [4 per cell]
8 F 0.2269 0.1117 0.9460 [4 per cell]
9 F 0.3264 0.6034 0.1261 [4 per cell]
10 F 0.3639 0.7500 0.3277 [2 per cell]
11 F 0.3674 0.5873 0.5089 [4 per cell]
12 F 0.4018 0.5854 0.8013 [4 per cell]



No. 10
# TaTe5Pt

Crystalline TaTe5Pt at its relaxed geometry (GGA-PBE, the Materials Project database).

Unit cell a=3.7829 b=14.4220 c=15.6717 alpha=90.00 beta=90.00 gamma=90.00
Space group Cmcm (No. 63)
Inequivalent atoms, fractional coordinates:
1 Ta 0.0000 0.0066 0.2500 [4 per cell]
2 Te 0.0000 0.1001 0.0836 [8 per cell]
3 Te 0.0000 0.3433 0.7500 [4 per cell]
4 Te 0.0000 0.4033 0.1492 [8 per cell]
5 Pt 0.0000 0.5000 0.0000 [4 per cell]



No. 11
# GaPt3

Crystalline GaPt3 at its relaxed geometry (GGA-PBE, the Materials Project database).

Unit cell a=5.5858 b=5.5858 c=3.9376 alpha=90.00 beta=90.00 gamma=90.00
Space group P4/mbm (No. 127)
Inequivalent atoms, fractional coordinates:
1 Ga 0.0000 0.5000 0.0000 [2 per cell]
2 Pt 0.0000 0.0000 0.0000 [2 per cell]
3 Pt 0.2375 0.2625 0.5000 [4 per cell]



No. 12
# Nb4FeS8

Crystalline Nb4FeS8 at its relaxed geometry (GGA-PBE, the Materials Project database).

Unit cell a=25.0084 b=3.3516 c=5.7603 alpha=90.00 beta=103.11 gamma=90.00
Space group C2/m (No. 12)
Inequivalent atoms, fractional coordinates:
1 Nb 0.1166 0.0000 0.1094 [4 per cell]
2 Nb 0.1197 0.5000 0.6270 [4 per cell]
3 Fe 0.0000 0.5000 0.5000 [2 per cell]
4 S 0.0519 0.5000 0.8809 [4 per cell]
5 S 0.0530 0.0000 0.3916 [4 per cell]
6 S 0.1823 0.0000 0.5133 [4 per cell]
7 S 0.1829 0.5000 0.0203 [4 per cell]



What are the density values for these records? In order: 5989, 4376, 8993, 3164, 6073, 9840, 5000, 3586, 3866, 7878, 17705, 4831 kg/m3.
What are the calculated formation energy values for these records? In order: -2.0965, -0.4106, -1.3013, -0.4404, -2.0709, -0.7704, -1.1636, -1.6044, -2.8107, -0.3677, -0.4301, -1.3013 eV per atom.
What are the volume values for these records? In order: 15.26, 13.51, 22.92, 35.58, 27.85, 25.46, 35.12, 27.94, 15.10, 30.54, 15.36, 18.09 Å³/atom.